# Tb3Ni2 GGA-PBE relaxed
data_Tb3Ni2
_symmetry_space_group_name_H-M 'P 1'
_symmetry_Int_Tables_number 1
_cell_length_a 6.8428
_cell_length_b 6.8428
_cell_length_c 9.4990
_cell_angle_alpha 74.77
_cell_angle_beta 74.77
_cell_angle_gamma 31.06
loop_
_symmetry_equiv_pos_as_xyz
'x,y,z'
loop_
_atom_site_label
_atom_site_fract_x
_atom_site_fract_y
_atom_site_fract_z
Tb1 0.1313 0.1313 0.0023
Tb2 0.8687 0.8687 0.9977
Tb3 0.4032 0.4032 0.6732
Tb4 0.5968 0.5968 0.3268
Tb5 0.1441 0.1441 0.6321
Tb6 0.8559 0.8559 0.3679
Ni1 0.5351 0.5351 0.8562
Ni2 0.4649 0.4649 0.1438
Ni3 0.7437 0.7437 0.7730
Ni4 0.2563 0.2563 0.2270
# DFT total energy (eV/atom): -5.439
# Energy of formation (eV per formula unit): -1.73
# Space-group type: No. 12



# Na3MgAlP2SO12 GGA-PBE relaxed
data_Na3MgAlP2SO12
_symmetry_space_group_name_H-M 'P 1'
_symmetry_Int_Tables_number 1
_cell_length_a 8.8054
_cell_length_b 8.7407
_cell_length_c 21.6459
_cell_angle_alpha 91.10
_cell_angle_beta 90.00
_cell_angle_gamma 120.25
loop_
_symmetry_equiv_pos_as_xyz
'x,y,z'
loop_
_atom_site_label
_atom_site_fract_x
_atom_site_fract_y
_atom_site_fract_z
Na1 0.3596 0.3553 0.2470
Na2 0.9960 0.6323 0.2458
Na3 0.6363 0.6323 0.7458
Na4 0.9957 0.3553 0.7470
Na5 0.0262 0.6886 0.5804
Na6 0.6627 0.9656 0.5792
Na7 0.3029 0.9656 0.0792
Na8 0.6624 0.6886 0.0804
Na9 0.6929 0.0219 0.9137
Na10 0.3293 0.2989 0.9125
Na11 0.9696 0.2989 0.4125
Na12 0.3290 0.0219 0.4137
Na13 0.9834 0.9867 0.4973
Na14 0.0033 0.9867 0.9973
Na15 0.6501 0.3201 0.8306
Na16 0.6700 0.3201 0.3306
Na17 0.3167 0.6534 0.1639
Na18 0.3367 0.6534 0.6639
Mg1 0.9941 0.9974 0.3519
Mg2 0.0034 0.9974 0.8519
Mg3 0.6607 0.3308 0.6852
Mg4 0.6700 0.3308 0.1852
Mg5 0.3274 0.6641 0.0185
Mg6 0.3367 0.6641 0.5185
Al1 0.9919 0.0111 0.6488
Al2 0.0192 0.0111 0.1488
Al3 0.6585 0.3444 0.9821
Al4 0.6859 0.3444 0.4821
Al5 0.3252 0.6778 0.3155
Al6 0.3526 0.6778 0.8155
P1 0.2943 0.9967 0.2514
P2 0.0054 0.2945 0.2526
P3 0.2891 0.2945 0.7526
P4 0.7025 0.9967 0.7514
P5 0.9609 0.3300 0.5848
P6 0.6721 0.6278 0.5859
P7 0.9557 0.6278 0.0859
P8 0.3691 0.3300 0.0848
P9 0.6276 0.6634 0.9181
P10 0.3387 0.9611 0.9193
P11 0.6224 0.9611 0.4193
P12 0.0358 0.6634 0.4181
S1 0.7022 0.7136 0.2485
S2 0.0115 0.7136 0.7485
S3 0.3689 0.0470 0.5819
S4 0.6781 0.0470 0.0819
S5 0.0355 0.3803 0.9152
S6 0.3448 0.3803 0.4152
O1 0.2121 0.0267 0.3091
O2 0.8154 0.7958 0.3028
O3 0.9828 0.1950 0.3119
O4 0.2122 0.1950 0.8119
O5 0.9804 0.7958 0.8028
O6 0.8145 0.0267 0.8091
O7 0.7888 0.9605 0.6932
O8 0.1617 0.1975 0.6965
O9 0.0326 0.8166 0.6917
O10 0.7840 0.8166 0.1917
O11 0.0358 0.1975 0.1965
O12 0.1717 0.9605 0.1932
O13 0.8788 0.3600 0.6424
O14 0.4821 0.1291 0.6362
O15 0.6494 0.5283 0.6452
O16 0.8789 0.5283 0.1452
O17 0.6471 0.1291 0.1362
O18 0.4812 0.3600 0.1424
O19 0.4555 0.2939 0.0265
O20 0.8284 0.5309 0.0298
O21 0.6993 0.1500 0.0251
O22 0.4507 0.1500 0.5251
O23 0.7025 0.5309 0.5298
O24 0.8384 0.2939 0.5265
O25 0.5455 0.6933 0.9758
O26 0.1488 0.4625 0.9695
O27 0.3161 0.8617 0.9786
O28 0.5455 0.8617 0.4786
O29 0.3137 0.4625 0.4695
O30 0.1479 0.6933 0.4758
O31 0.1222 0.6272 0.3598
O32 0.4951 0.8642 0.3631
O33 0.3660 0.4833 0.3584
O34 0.1173 0.4833 0.8584
O35 0.3692 0.8642 0.8631
O36 0.5050 0.6272 0.8598
O37 0.0184 0.8276 0.4106
O38 0.8099 0.9955 0.4119
O39 0.1865 0.1985 0.4108
O40 0.0120 0.1985 0.9108
O41 0.1856 0.9955 0.9119
O42 0.8092 0.8276 0.9106
O43 0.9700 0.1560 0.5898
O44 0.1911 0.0262 0.5882
O45 0.8488 0.8163 0.5901
O46 0.9674 0.8163 0.0901
O47 0.8351 0.0262 0.0882
O48 0.1860 0.1560 0.0898
O49 0.6851 0.1610 0.7439
O50 0.4766 0.3289 0.7452
O51 0.8532 0.5319 0.7442
O52 0.6787 0.5319 0.2442
O53 0.8523 0.3289 0.2452
O54 0.4759 0.1610 0.2439
O55 0.6367 0.4893 0.9231
O56 0.8578 0.3596 0.9216
O57 0.5155 0.1496 0.9235
O58 0.6341 0.1496 0.4235
O59 0.5018 0.3596 0.4216
O60 0.8527 0.4893 0.4231
O61 0.3518 0.4943 0.0773
O62 0.1433 0.6622 0.0786
O63 0.5199 0.8652 0.0775
O64 0.3454 0.8652 0.5775
O65 0.5189 0.6622 0.5786
O66 0.1425 0.4943 0.5773
O67 0.3033 0.8227 0.2565
O68 0.5244 0.6929 0.2549
O69 0.1822 0.4829 0.2568
O70 0.3008 0.4829 0.7568
O71 0.1685 0.6929 0.7549
O72 0.5193 0.8227 0.7565
# DFT total energy (eV/atom): -6.428
# Energy of formation (eV per formula unit): -53.16



# AgPbO2 GGA-PBE relaxed
data_AgPbO2
_symmetry_space_group_name_H-M 'P 1'
_symmetry_Int_Tables_number 1
_cell_length_a 6.7584
_cell_length_b 6.7584
_cell_length_c 6.5006
_cell_angle_alpha 81.89
_cell_angle_beta 81.89
_cell_angle_gamma 30.55
loop_
_symmetry_equiv_pos_as_xyz
'x,y,z'
loop_
_atom_site_label
_atom_site_fract_x
_atom_site_fract_y
_atom_site_fract_z
Ag1 0.7497 0.7497 0.1953
Ag2 0.2503 0.2503 0.8047
Pb1 0.5000 0.5000 0.0000
Pb2 0.0000 0.0000 0.5000
O1 0.9124 0.9124 0.1704
O2 0.4124 0.4124 0.7379
O3 0.5876 0.5876 0.2621
O4 0.0876 0.0876 0.8296
# DFT total energy (eV/atom): -4.764
# Energy of formation (eV per formula unit): -3.99
# Space-group type: No. 12



# Ba3BiB9O18 GGA-PBE relaxed
data_Ba3BiB9O18
_symmetry_space_group_name_H-M 'P 1'
_symmetry_Int_Tables_number 1
_cell_length_a 7.3088
_cell_length_b 7.3088
_cell_length_c 17.6296
_cell_angle_alpha 90.00
_cell_angle_beta 90.00
_cell_angle_gamma 120.00
loop_
_symmetry_equiv_pos_as_xyz
'x,y,z'
loop_
_atom_site_label
_atom_site_fract_x
_atom_site_fract_y
_atom_site_fract_z
Ba1 0.6667 0.3333 0.6337
Ba2 0.3333 0.6667 0.1337
Ba3 0.3333 0.6667 0.3663
Ba4 0.6667 0.3333 0.8663
Ba5 0.0000 0.0000 0.7500
Ba6 0.0000 0.0000 0.2500
Bi1 0.0000 0.0000 0.5000
Bi2 0.0000 0.0000 0.0000
B1 0.1184 0.4953 0.7500
B2 0.5047 0.6232 0.7500
B3 0.3768 0.8816 0.7500
B4 0.8816 0.5047 0.2500
B5 0.4953 0.3768 0.2500
B6 0.6232 0.1184 0.2500
B7 0.2866 0.4517 0.5863
B8 0.5483 0.8349 0.5863
B9 0.1651 0.7134 0.5863
B10 0.7134 0.5483 0.0863
B11 0.4517 0.1651 0.0863
B12 0.8349 0.2866 0.0863
B13 0.7134 0.5483 0.4137
B14 0.4517 0.1651 0.4137
B15 0.8349 0.2866 0.4137
B16 0.2866 0.4517 0.9137
B17 0.5483 0.8349 0.9137
B18 0.1651 0.7134 0.9137
O1 0.1672 0.7080 0.7500
O2 0.2920 0.4592 0.7500
O3 0.5408 0.8328 0.7500
O4 0.8328 0.2920 0.2500
O5 0.7080 0.5408 0.2500
O6 0.4592 0.1672 0.2500
O7 0.4972 0.6220 0.5862
O8 0.3780 0.8753 0.5862
O9 0.1247 0.5028 0.5862
O10 0.5028 0.3780 0.0862
O11 0.6220 0.1247 0.0862
O12 0.8753 0.4972 0.0862
O13 0.5028 0.3780 0.4138
O14 0.6220 0.1247 0.4138
O15 0.8753 0.4972 0.4138
O16 0.4972 0.6220 0.9138
O17 0.3780 0.8753 0.9138
O18 0.1247 0.5028 0.9138
O19 0.9214 0.3329 0.7500
O20 0.6671 0.5885 0.7500
O21 0.4115 0.0786 0.7500
O22 0.0786 0.6671 0.2500
O23 0.3329 0.4115 0.2500
O24 0.5885 0.9214 0.2500
O25 0.2518 0.2540 0.5855
O26 0.7460 0.9978 0.5855
O27 0.0022 0.7482 0.5855
O28 0.7482 0.7460 0.0855
O29 0.2540 0.0022 0.0855
O30 0.9978 0.2518 0.0855
O31 0.7482 0.7460 0.4145
O32 0.2540 0.0022 0.4145
O33 0.9978 0.2518 0.4145
O34 0.2518 0.2540 0.9145
O35 0.7460 0.9978 0.9145
O36 0.0022 0.7482 0.9145
# DFT total energy (eV/atom): -7.655
# Energy of formation (eV per formula unit): -90.84
# Space-group type: No. 176



# CrSi2 GGA-PBE relaxed
data_CrSi2
_symmetry_space_group_name_H-M 'P 1'
_symmetry_Int_Tables_number 1
_cell_length_a 4.4103
_cell_length_b 4.4103
_cell_length_c 6.3705
_cell_angle_alpha 90.00
_cell_angle_beta 90.00
_cell_angle_gamma 120.00
loop_
_symmetry_equiv_pos_as_xyz
'x,y,z'
loop_
_atom_site_label
_atom_site_fract_x
_atom_site_fract_y
_atom_site_fract_z
Cr1 0.0000 0.5000 0.3333
Cr2 0.5000 0.5000 0.6667
Cr3 0.5000 0.0000 0.0000
Si1 0.8338 0.6677 0.0000
Si2 0.1662 0.8338 0.6667
Si3 0.6677 0.8338 0.3333
Si4 0.1662 0.3323 0.0000
Si5 0.8338 0.1662 0.6667
Si6 0.3323 0.1662 0.3333
# DFT total energy (eV/atom): -7.194
# Piezoelectric modulus e_max (C/m²): 0.44
# Energy of formation (eV per formula unit): -0.94
# Space-group type: No. 181



# BiPb2F7 GGA-PBE relaxed
data_BiPb2F7
_symmetry_space_group_name_H-M 'P 1'
_symmetry_Int_Tables_number 1
_cell_length_a 9.7234
_cell_length_b 9.7234
_cell_length_c 9.7234
_cell_angle_alpha 155.90
_cell_angle_beta 155.90
_cell_angle_gamma 34.34
loop_
_symmetry_equiv_pos_as_xyz
'x,y,z'
loop_
_atom_site_label
_atom_site_fract_x
_atom_site_fract_y
_atom_site_fract_z
Bi1 0.5000 0.5000 0.0000
Pb1 0.8342 0.8342 0.0000
Pb2 0.1658 0.1658 0.0000
F1 0.2500 0.7500 0.5000
F2 0.5841 0.0841 0.5000
F3 0.9159 0.4159 0.5000
F4 0.0841 0.5841 0.5000
F5 0.4159 0.9159 0.5000
F6 0.7500 0.2500 0.5000
F7 0.0000 0.0000 0.0000
# DFT total energy (eV/atom): -4.716
# Energy of formation (eV per formula unit): -25.67
# Space-group type: No. 139